# 1
VASP calculation (PBE-GGA) on a relaxed structure of Cu8GeSe6.

Cell and atoms, written as POSCAR:
```
Cu8GeSe6
1.0
6.419 3.730 0.000
-6.419 3.730 0.000
0.000 0.047 11.645
Se Cu Ge
12 16 2
Direct
0.816 0.634 0.257
0.688 0.343 0.543
0.819 0.183 0.259
0.180 0.356 0.759
0.183 0.819 0.759
0.659 0.318 0.910
0.356 0.180 0.259
0.001 0.001 0.507
0.318 0.659 0.410
0.343 0.688 0.043
0.634 0.816 0.757
0.001 0.001 0.007
0.035 0.523 0.925
0.527 0.468 0.673
0.524 0.488 0.423
0.188 0.813 0.550
0.811 0.624 0.047
0.524 0.060 0.673
0.950 0.478 0.682
0.488 0.524 0.923
0.478 0.950 0.182
0.375 0.189 0.049
0.624 0.811 0.547
0.060 0.524 0.173
0.189 0.375 0.549
0.813 0.188 0.050
0.468 0.527 0.173
0.523 0.035 0.425
0.994 0.992 0.804
0.992 0.994 0.304
```

Summary:
- ΔE to the lowest computed polymorph: 0.0050 eV/atom
- E_tot: -3.99 eV/atom
- Energy relative to the elements: -291 meV/atom
- Magnetization: 0.0 μB per cell

---

# 2
VASP calculation (PBE-GGA) on a relaxed structure of Tb2P7Rh12.

Cell and atoms, written as POSCAR:
```
Tb2P7Rh12
1.0
2.013 2.817 -1.743
-0.450 5.286 8.019
7.340 -6.069 -1.337
Rh P Tb
12 7 2
Direct
0.249 0.550 0.932
0.751 0.619 0.551
0.252 0.262 0.111
0.251 0.850 0.738
0.748 0.738 0.889
0.748 0.112 0.849
0.751 0.933 0.382
0.749 0.150 0.262
0.249 0.067 0.618
0.249 0.381 0.449
0.751 0.450 0.068
0.252 0.888 0.151
0.245 0.595 0.713
0.755 0.882 0.595
0.755 0.405 0.287
0.500 0.000 0.000
0.245 0.118 0.405
0.245 0.287 0.882
0.755 0.713 0.118
0.749 0.333 0.666
0.251 0.667 0.334
```

Summary:
- E_tot: -7.38 eV/atom
- Energy relative to the elements: -924 meV/atom

---

# 3
VASP calculation (PBE-GGA) on a relaxed structure of Mg2CuSbO6.

Cell and atoms, written as POSCAR:
```
Mg2CuSbO6
1.0
7.371 0.000 0.000
0.000 5.436 0.000
0.000 1.045 5.409
O Mg Cu Sb
12 4 2 2
Direct
0.250 0.126 0.589
0.072 0.864 0.210
0.250 0.403 0.081
0.750 0.874 0.411
0.555 0.354 0.325
0.945 0.354 0.325
0.055 0.646 0.675
0.928 0.136 0.790
0.428 0.864 0.210
0.445 0.646 0.675
0.750 0.597 0.919
0.572 0.136 0.790
0.250 0.536 0.421
0.750 0.936 0.026
0.750 0.464 0.579
0.250 0.064 0.974
0.000 0.500 0.000
0.500 0.500 0.000
0.500 0.000 0.500
0.000 0.000 0.500
```

Summary:
- E_tot: -5.74 eV/atom
- Energy relative to the elements: -2039 meV/atom
- Magnetization: 0.0 μB per cell